# NbCl5 (PBE-GGA, relaxed)
# Energy of formation, meV per atom: -1742
# Volume, Å³/atom: 32.5
# Total energy, Ry/atom: -0.3274
data_NbCl5
_space_group_name_H-M_alt 'P 1 21/c 1'
_space_group_IT_number 14
_cell_length_a 8.4468
_cell_length_b 10.7581
_cell_length_c 11.9681
_cell_angle_alpha 90.00
_cell_angle_beta 134.26
_cell_angle_gamma 90.00
loop_
_space_group_symop_operation_xyz
'x,y,z'
'-x,-y,-z'
'-x,y+1/2,-z+1/2'
'x,-y+1/2,z+1/2'
loop_
_atom_site_label
_atom_site_fract_x
_atom_site_fract_y
_atom_site_fract_z
Nb1 0.1065 0.1349 0.1575
Cl1 0.0770 0.1549 0.6198
Cl2 0.0937 0.6046 0.6314
Cl3 0.2433 0.6146 0.4351
Cl4 0.2834 0.1177 0.4126
Cl5 0.4334 0.1209 0.2158